The following is a PBE calculation of a geometry-optimized K2C6Se2S6N6O structure, from Materials Project.

As for the space group: P-1 (2). As for the formation enthalpy at 0 K: 0.048 eV/atom. Its total energy is -6.067 eV per atom.

a = 8.8631 Å, b = 9.1426 Å, c = 13.3685 Å
α = 83.42°, β = 71.31°, γ = 78.81°
With the nearest neighbours (Å) after each atom.
Fractional positions:
K 0.1718 0.0898 0.0164  4 N 2.75-3.05, 1 O 2.89
K 0.2678 0.5600 0.9844  5 N 2.77-3.06, 1 O 2.96
K 0.7322 0.4400 0.0156  5 N 2.77-3.06, 1 O 2.96
K 0.8282 0.9102 0.9836  4 N 2.75-3.05, 1 O 2.89
C 0.0163 0.7718 0.2386  1 N 1.17
C 0.0304 0.6172 0.7894  1 N 1.18
C 0.2652 0.8910 0.7590  1 N 1.18
C 0.2758 0.0667 0.2695  1 N 1.17
C 0.3487 0.4459 0.2439  1 N 1.18
C 0.3730 0.2747 0.7748  1 N 1.18
C 0.6270 0.7253 0.2252  1 N 1.18
C 0.6513 0.5541 0.7561  1 N 1.18
C 0.7242 0.9333 0.7305  1 N 1.17
C 0.7348 0.1090 0.2410  1 N 1.18
C 0.9696 0.3828 0.2106  1 N 1.18
C 0.9837 0.2282 0.7614  1 N 1.17
Se 0.2302 0.7563 0.3837  2 S 2.32-2.34
Se 0.3759 0.6051 0.6354  2 S 2.38-2.41
Se 0.6241 0.3949 0.3646  2 S 2.38-2.41
Se 0.7698 0.2437 0.6163  2 S 2.32-2.34
S 0.0259 0.2373 0.6294  1 C 1.68
S 0.0956 0.6280 0.6574  1 C 1.67
S 0.2117 0.0128 0.3976  1 C 1.67
S 0.2929 0.4282 0.3746  1 C 1.65
S 0.3649 0.8707 0.6317  1 C 1.66
S 0.4054 0.2850 0.6460  1 C 1.65
S 0.5946 0.7150 0.3540  1 C 1.65
S 0.6351 0.1293 0.3683  1 C 1.66
S 0.7071 0.5718 0.6254  1 C 1.65
S 0.7883 0.9872 0.6024  1 C 1.67
S 0.9044 0.3720 0.3426  1 C 1.67
S 0.9741 0.7627 0.3706  1 C 1.68
N 0.0180 0.3872 0.1177  1 C 1.18
N 0.0423 0.7785 0.1465  1 C 1.17
N 0.1905 0.9033 0.8487  1 C 1.18
N 0.3182 0.1035 0.1792  1 C 1.17
N 0.3497 0.2737 0.8670  1 C 1.18
N 0.3912 0.4622 0.1511  1 C 1.18
N 0.6088 0.5378 0.8489  1 C 1.18
N 0.6503 0.7263 0.1330  1 C 1.18
N 0.6818 0.8965 0.8208  1 C 1.17
N 0.8095 0.0967 0.1513  1 C 1.18
N 0.9577 0.2215 0.8535  1 C 1.17
N 0.9820 0.6128 0.8823  1 C 1.18
O 0.4043 0.8186 0.0099  2 K 2.89-2.96, 3 N 3.04-3.21
O 0.5957 0.1814 0.9901  2 K 2.89-2.96, 3 N 3.04-3.21